1.
First-principles (PBE) data for an optimized crystal structure of Na2BSO4F3, as listed in the Materials Project database.

a = 6.7073 Å, b = 6.7252 Å, c = 6.7370 Å
α = 84.36°, β = 66.33°, γ = 84.25°
Sites, in units of the cell vectors:
Na1 0.2230 0.4042 0.2659
Na2 0.2299 0.8456 0.8848
Na3 0.7701 0.1544 0.1152
Na4 0.7770 0.5958 0.7341
B1 0.3379 0.8753 0.3555
B2 0.6621 0.1247 0.6445
S1 0.2703 0.3494 0.7734
S2 0.7297 0.6506 0.2266
O1 0.1500 0.1985 0.9432
O2 0.1515 0.4366 0.6416
O3 0.3434 0.5003 0.8699
O4 0.4779 0.2387 0.6066
O5 0.5221 0.7613 0.3934
O6 0.6566 0.4997 0.1301
O7 0.8485 0.5634 0.3584
O8 0.8500 0.8015 0.0568
F1 0.1721 0.8989 0.5627
F2 0.2657 0.7731 0.2251
F3 0.4023 0.0676 0.2495
F4 0.5977 0.9324 0.7505
F5 0.7343 0.2269 0.7749
F6 0.8279 0.1011 0.4373

---

2.
First-principles (PBE) data for an optimized crystal structure of Cs3ZnH5, as listed in the Materials Project database.

a = 8.5308 Å, b = 8.5308 Å, c = 8.5308 Å
α = 121.35°, β = 121.35°, γ = 87.68°
Sites, in units of the cell vectors:
Cs1 0.1804 0.6804 0.8609
Cs2 0.2500 0.2500 0.0000
Cs3 0.3196 0.1804 0.5000
Cs4 0.6804 0.8196 0.5000
Cs5 0.7500 0.7500 0.0000
Cs6 0.8196 0.3196 0.1391
Zn1 0.2500 0.7500 0.5000
Zn2 0.7500 0.2500 0.5000
H1 0.0000 0.0000 0.0000
H2 0.0549 0.7844 0.5000
H3 0.2156 0.7156 0.2705
H4 0.2844 0.5549 0.5000
H5 0.4451 0.9451 0.7295
H6 0.5000 0.5000 0.0000
H7 0.5549 0.0549 0.2705
H8 0.7156 0.4451 0.5000
H9 0.7844 0.2844 0.7295
H10 0.9451 0.2156 0.5000

---

3.
First-principles (PBE) data for an optimized crystal structure of Ce3Si2S8I, as listed in the Materials Project database.

a = 8.9599 Å, b = 8.9599 Å, c = 10.9121 Å
α = 97.10°, β = 97.10°, γ = 52.25°
Sites, in units of the cell vectors:
Ce1 0.0954 0.9046 0.7500
Ce2 0.1790 0.4231 0.3190
Ce3 0.4231 0.1790 0.8190
Ce4 0.5769 0.8210 0.1810
Ce5 0.8210 0.5769 0.6810
Ce6 0.9046 0.0954 0.2500
Si1 0.1230 0.1967 0.0298
Si2 0.1967 0.1230 0.5298
Si3 0.8033 0.8770 0.4702
Si4 0.8770 0.8033 0.9702
S1 0.0502 0.2498 0.8389
S2 0.0852 0.7774 0.4566
S3 0.0998 0.6110 0.8519
S4 0.2129 0.3504 0.5859
S5 0.2226 0.9148 0.0434
S6 0.2498 0.0502 0.3389
S7 0.3504 0.2129 0.0859
S8 0.3890 0.9002 0.6481
S9 0.6110 0.0998 0.3519
S10 0.6496 0.7871 0.9141
S11 0.7502 0.9498 0.6611
S12 0.7774 0.0852 0.9566
S13 0.7871 0.6496 0.4141
S14 0.9002 0.3890 0.1481
S15 0.9148 0.2226 0.5434
S16 0.9498 0.7502 0.1611
I1 0.4863 0.5137 0.2500
I2 0.5137 0.4863 0.7500

---

4.
First-principles (PBE) data for an optimized crystal structure of B2O3, as listed in the Materials Project database.

a = 10.5352 Å, b = 10.5560 Å, c = 11.6683 Å
α = 84.40°, β = 82.33°, γ = 88.64°
Sites, in units of the cell vectors:
B1 0.0000 0.0000 0.0000
B2 0.0030 0.5661 0.6039
B3 0.0349 0.5916 0.2456
B4 0.0614 0.7760 0.0722
B5 0.1050 0.1519 0.5771
B6 0.1343 0.9654 0.2703
B7 0.1499 0.1351 0.0885
B8 0.1671 0.7398 0.3395
B9 0.1994 0.6931 0.5489
B10 0.2195 0.7221 0.8871
B11 0.2230 0.4839 0.8297
B12 0.2416 0.3469 0.9887
B13 0.3197 0.8101 0.6953
B14 0.3420 0.1770 0.5661
B15 0.3543 0.3383 0.7080
B16 0.4529 0.4741 0.0173
B17 0.4593 0.5142 0.2298
B18 0.4745 0.2735 0.2522
B19 0.4838 0.1510 0.0706
B20 0.4951 0.9839 0.6244
B21 0.5039 0.7376 0.2805
B22 0.5157 0.2174 0.8396
B23 0.5346 0.1105 0.4236
B24 0.5501 0.9329 0.1463
B25 0.5854 0.5618 0.6275
B26 0.5924 0.6941 0.4520
B27 0.6157 0.4792 0.8294
B28 0.7070 0.9165 0.7135
B29 0.7143 0.5010 0.4538
B30 0.7375 0.2922 0.7594
B31 0.7536 0.0510 0.1662
B32 0.7725 0.0252 0.3767
B33 0.7953 0.5035 0.0801
B34 0.8147 0.2826 0.1275
B35 0.8277 0.6807 0.9006
B36 0.8314 0.7127 0.6861
B37 0.8455 0.4303 0.2725
B38 0.8550 0.9218 0.8717
B39 0.9565 0.3229 0.6539
B40 0.9787 0.0234 0.4599
O1 0.0135 0.0717 0.5565
O2 0.0241 0.6725 0.1463
O3 0.0675 0.9940 0.3727
O4 0.0695 0.1062 0.0110
O5 0.0743 0.2645 0.6217
O6 0.1173 0.6267 0.3235
O7 0.1309 0.5812 0.5727
O8 0.1635 0.7725 0.9836
O9 0.1667 0.3811 0.9030
O10 0.1679 0.0617 0.1869
O11 0.1738 0.8427 0.2554
O12 0.1918 0.6033 0.8599
O13 0.2170 0.7586 0.4410
O14 0.2227 0.2439 0.0687
O15 0.2354 0.1160 0.5524
O16 0.2478 0.7382 0.6396
O17 0.3004 0.4548 0.7299
O18 0.3064 0.8015 0.8141
O19 0.3446 0.4250 0.9883
O20 0.3506 0.2938 0.6002
O21 0.3983 0.9046 0.6354
O22 0.4096 0.2620 0.7897
O23 0.4497 0.5367 0.1152
O24 0.4622 0.3927 0.2878
O25 0.4637 0.6126 0.2974
O26 0.4655 0.1025 0.5426
O27 0.4655 0.0285 0.1208
O28 0.4753 0.1749 0.3411
O29 0.4846 0.2532 0.1370
O30 0.4963 0.1721 0.9534
O31 0.5018 0.8127 0.1790
O32 0.5395 0.6694 0.5669
O33 0.5397 0.7853 0.3782
O34 0.5569 0.5530 0.7466
O35 0.5645 0.4773 0.9434
O36 0.6031 0.9830 0.6721
O37 0.6336 0.2126 0.7749
O38 0.6430 0.0435 0.4160
O39 0.6546 0.4699 0.5694
O40 0.6789 0.9554 0.1388
O41 0.6975 0.6269 0.4080
O42 0.7233 0.4081 0.8005
O43 0.7553 0.8157 0.6559
O44 0.7576 0.9590 0.8048
O45 0.7700 0.1645 0.1002
O46 0.7762 0.5184 0.1951
O47 0.7796 0.4144 0.3940
O48 0.7963 0.6099 0.0010
O49 0.8077 0.6456 0.7943
O50 0.8119 0.3827 0.0412
O51 0.8164 0.0240 0.2630
O52 0.8485 0.2989 0.2327
O53 0.8490 0.0078 0.4622
O54 0.8535 0.2513 0.7046
O55 0.8853 0.7978 0.9020
O56 0.9244 0.0139 0.9105
O57 0.9264 0.6764 0.6046
O58 0.9446 0.4519 0.6346
O59 0.9755 0.4796 0.2738
O60 0.9984 0.8923 0.0775

---

no.,ΔH_f (0 K) (eV/atom)
1,-2.62
2,-0.31
3,-1.73
4,-2.73